[1]
HfGeOs: relaxed, GGA-PBE.

Uncorrected energy = -9.195 eV/atom

Cell and atoms, written as CIF:
```
data_HfGeOs
_cell_length_a 6.7320
_cell_length_b 6.7320
_cell_length_c 3.8111
_cell_angle_alpha 90.00
_cell_angle_beta 90.00
_cell_angle_gamma 120.00
_symmetry_space_group_name_H-M 'P -6 2 m'
_symmetry_Int_Tables_number 189
_symmetry_space_group_name_Hall 'P -6 -2'
loop_
_atom_site_label
_atom_site_type_symbol
_atom_site_fract_x
_atom_site_fract_y
_atom_site_fract_z
_atom_site_occupancy
Hf1 Hf 0.0000 0.4170 0.0000 1
Ge1 Ge 0.0000 0.0000 0.0000 1
Ge2 Ge 0.3333 0.6667 0.5000 1
Os1 Os 0.0000 0.7535 0.5000 1
```



[2]
HfGePt: relaxed, GGA-PBE.

Uncorrected energy = -7.786 eV/atom

Cell and atoms, written as CIF:
```
data_HfGePt
_cell_length_a 6.660
_cell_length_b 3.994
_cell_length_c 7.726
_cell_angle_alpha 90.00
_cell_angle_beta 90.00
_cell_angle_gamma 90.00
_symmetry_space_group_name_H-M 'P n m a'
_symmetry_Int_Tables_number 62
loop_
_symmetry_equiv_pos_as_xyz
'x,y,z'
'-x,-y,-z'
'-x+1/2,-y,z+1/2'
'x+1/2,y,-z+1/2'
'x+1/2,-y+1/2,-z+1/2'
'-x+1/2,y+1/2,z+1/2'
'-x,y+1/2,-z'
'x,-y+1/2,z'
loop_
_atom_site_label
_atom_site_type_symbol
_atom_site_fract_x
_atom_site_fract_y
_atom_site_fract_z
_atom_site_occupancy
Hf1 Hf 0.030 0.250 0.184 1
Ge1 Ge 0.250 0.250 0.879 1
Pt1 Pt 0.144 0.250 0.565 1
```



[3]
Hf9Re4Ge: relaxed, GGA-PBE.

Magnetic moment = 0.01 μB/f.u.
Uncorrected energy = -10.658 eV/atom

Cell and atoms, written as CIF:
```
data_Hf9Re4Ge
_cell_length_a 8.5858
_cell_length_b 8.5858
_cell_length_c 8.7006
_cell_angle_alpha 90.00
_cell_angle_beta 90.00
_cell_angle_gamma 120.00
_symmetry_space_group_name_H-M 'P 63/m m c'
_symmetry_Int_Tables_number 194
_symmetry_space_group_name_Hall '-P 6c 2c'
loop_
_atom_site_label
_atom_site_type_symbol
_atom_site_fract_x
_atom_site_fract_y
_atom_site_fract_z
_atom_site_occupancy
Hf1 Hf 0.0812 0.5406 0.2500 1
Hf2 Hf 0.1948 0.3895 0.5445 1
Re1 Re 0.0000 0.0000 0.0000 1
Re2 Re 0.1086 0.2172 0.2500 1
Ge1 Ge 0.3333 0.6667 0.7500 1
```



[4]
HfGeS: relaxed, GGA-PBE.

Corrected total energy (MP2020 scheme) = -7.46 eV/atom

Cell and atoms, written as CIF:
```
data_HfGeS
_cell_length_a 3.636
_cell_length_b 3.636
_cell_length_c 7.969
_cell_angle_alpha 90.00
_cell_angle_beta 90.00
_cell_angle_gamma 90.00
_symmetry_space_group_name_H-M 'P 4/n m m'
_symmetry_Int_Tables_number 129
loop_
_symmetry_equiv_pos_as_xyz
'x,y,z'
'-x,-y,-z'
'-y+1/2,x,z'
'y+1/2,-x,-z'
'-x+1/2,-y+1/2,z'
'x+1/2,y+1/2,-z'
'y,-x+1/2,z'
'-y,x+1/2,-z'
'x+1/2,-y,-z'
'-x+1/2,y,z'
'-y,-x,-z'
'y,x,z'
'-x,y+1/2,-z'
'x,-y+1/2,z'
'y+1/2,x+1/2,-z'
'-y+1/2,-x+1/2,z'
loop_
_atom_site_label
_atom_site_type_symbol
_atom_site_fract_x
_atom_site_fract_y
_atom_site_fract_z
_atom_site_occupancy
Hf1 Hf 0.250 0.250 0.225 1
Ge1 Ge 0.250 0.750 0.500 1
S1 S 0.250 0.250 0.880 1
```



[5]
HfScGe4: relaxed, GGA-PBE.

Uncorrected energy = -6.337 eV/atom

Cell and atoms, written as CIF:
```
data_HfScGe4
_cell_length_a 3.806
_cell_length_b 3.859
_cell_length_c 15.052
_cell_angle_alpha 90.00
_cell_angle_beta 90.00
_cell_angle_gamma 90.00
_symmetry_space_group_name_H-M 'A m m 2'
_symmetry_Int_Tables_number 38
loop_
_symmetry_equiv_pos_as_xyz
'x,y,z'
'-x,-y,z'
'-x,y,z'
'x,-y,z'
'x,y+1/2,z+1/2'
'-x,-y+1/2,z+1/2'
'-x,y+1/2,z+1/2'
'x,-y+1/2,z+1/2'
loop_
_atom_site_label
_atom_site_type_symbol
_atom_site_fract_x
_atom_site_fract_y
_atom_site_fract_z
_atom_site_occupancy
Hf1 Hf 0.000 0.000 0.000 1
Sc1 Sc 0.500 0.000 0.208 1
Ge1 Ge 0.000 0.000 0.356 1
Ge2 Ge 0.000 0.000 0.664 1
Ge3 Ge 0.500 0.000 0.545 1
Ge4 Ge 0.500 0.000 0.855 1
```



[6]
HfGeTe: relaxed, GGA-PBE.

Corrected total energy (MP2020 scheme) = -6.71 eV/atom

Cell and atoms, written as CIF:
```
data_HfGeTe
_cell_length_a 3.900
_cell_length_b 3.900
_cell_length_c 8.535
_cell_angle_alpha 90.00
_cell_angle_beta 90.00
_cell_angle_gamma 90.00
_symmetry_space_group_name_H-M 'P 4/n m m'
_symmetry_Int_Tables_number 129
loop_
_symmetry_equiv_pos_as_xyz
'x,y,z'
'-x,-y,-z'
'-y+1/2,x,z'
'y+1/2,-x,-z'
'-x+1/2,-y+1/2,z'
'x+1/2,y+1/2,-z'
'y,-x+1/2,z'
'-y,x+1/2,-z'
'x+1/2,-y,-z'
'-x+1/2,y,z'
'-y,-x,-z'
'y,x,z'
'-x,y+1/2,-z'
'x,-y+1/2,z'
'y+1/2,x+1/2,-z'
'-y+1/2,-x+1/2,z'
loop_
_atom_site_label
_atom_site_type_symbol
_atom_site_fract_x
_atom_site_fract_y
_atom_site_fract_z
_atom_site_occupancy
Hf1 Hf 0.250 0.250 0.246 1
Ge1 Ge 0.250 0.750 0.000 1
Te1 Te 0.250 0.250 0.621 1
```



[7]
Hf2V3Ge: relaxed, GGA-PBE.

Magnetic moment = 0.10 μB/f.u.
Uncorrected energy = -8.905 eV/atom

Cell and atoms, written as CIF:
```
data_Hf2V3Ge
_cell_length_a 5.1547
_cell_length_b 5.1547
_cell_length_c 8.5700
_cell_angle_alpha 90.00
_cell_angle_beta 90.00
_cell_angle_gamma 120.00
_symmetry_space_group_name_H-M 'P 63/m m c'
_symmetry_Int_Tables_number 194
_symmetry_space_group_name_Hall '-P 6c 2c'
loop_
_atom_site_label
_atom_site_type_symbol
_atom_site_fract_x
_atom_site_fract_y
_atom_site_fract_z
_atom_site_occupancy
Hf1 Hf 0.3333 0.6667 0.0610 1
V1 V 0.1779 0.3559 0.7500 1
Ge1 Ge 0.0000 0.0000 0.0000 1
```



[8]
HfVGe: relaxed, GGA-PBE.

Uncorrected energy = -8.507 eV/atom

Cell and atoms, written as CIF:
```
data_HfVGe
_cell_length_a 3.693
_cell_length_b 3.693
_cell_length_c 7.299
_cell_angle_alpha 90.00
_cell_angle_beta 90.00
_cell_angle_gamma 90.00
_symmetry_space_group_name_H-M 'P 4/n m m'
_symmetry_Int_Tables_number 129
loop_
_symmetry_equiv_pos_as_xyz
'x,y,z'
'-x,-y,-z'
'-y+1/2,x,z'
'y+1/2,-x,-z'
'-x+1/2,-y+1/2,z'
'x+1/2,y+1/2,-z'
'y,-x+1/2,z'
'-y,x+1/2,-z'
'x+1/2,-y,-z'
'-x+1/2,y,z'
'-y,-x,-z'
'y,x,z'
'-x,y+1/2,-z'
'x,-y+1/2,z'
'y+1/2,x+1/2,-z'
'-y+1/2,-x+1/2,z'
loop_
_atom_site_label
_atom_site_type_symbol
_atom_site_fract_x
_atom_site_fract_y
_atom_site_fract_z
_atom_site_occupancy
Hf1 Hf 0.250 0.250 0.137 1
V1 V 0.250 0.750 0.500 1
Ge1 Ge 0.250 0.250 0.749 1
```